1.
DyGa6Fe6 after structural relaxation, computed with PBE.

Computed properties:
The value obtained for the total moment is 13.1 μB per cell. As for the energy relative to the lowest polymorph listed for this composition: 149 meV per atom. Its space group is No. 69.

Cell lengths 5.1689, 6.5304, 6.6509 Å; angles 98.85, 112.87, 66.69 degrees
Fractional positions:
Dy 0.0000 0.0000 0.0000
Ga 0.5000 0.5000 0.0000
Ga 0.0000 0.5000 0.0000
Ga 0.6487 0.3353 0.6327
Ga 0.3513 0.6647 0.3673
Ga 0.0160 0.3353 0.3673
Ga 0.9840 0.6647 0.6327
Fe 0.7094 0.7988 0.2175
Fe 0.2906 0.2012 0.7825
Fe 0.4919 0.7988 0.7825
Fe 0.5081 0.2012 0.2175
Fe 0.5000 0.0000 0.5000
Fe 0.0000 0.0000 0.5000



2.
Na6Bi2B4SO16 after structural relaxation, computed with PBE.

Computed properties:
The value obtained for the total moment is 4.0 μB per cell. Its space group is No. 203. As for the corrected total energy (MP2020 scheme): -6.60 eV/atom.

Cell lengths 10.2588, 10.2588, 10.2588 Å; angles 60.00, 60.00, 60.00 degrees
Fractional positions:
Na 0.0413 0.4587 0.4587
Na 0.0413 0.0413 0.4587
Na 0.7913 0.7913 0.2087
Na 0.4587 0.0413 0.0413
Na 0.2087 0.7913 0.2087
Na 0.7913 0.2087 0.7913
Na 0.4587 0.0413 0.4587
Na 0.0413 0.4587 0.0413
Na 0.7913 0.2087 0.2087
Na 0.2087 0.7913 0.7913
Na 0.2087 0.2087 0.7913
Na 0.4587 0.4587 0.0413
Bi 0.6250 0.1250 0.6250
Bi 0.1250 0.6250 0.6250
Bi 0.6250 0.6250 0.1250
Bi 0.6250 0.6250 0.6250
B 0.7917 0.4028 0.4028
B 0.8472 0.8472 0.4583
B 0.4028 0.7917 0.4028
B 0.4028 0.4028 0.4028
B 0.8472 0.8472 0.8472
B 0.8472 0.4583 0.8472
B 0.4583 0.8472 0.8472
B 0.4028 0.4028 0.7917
S 0.0000 0.0000 0.0000
S 0.2500 0.2500 0.2500
O 0.0596 0.0596 0.8211
O 0.0596 0.0596 0.0596
O 0.0596 0.8211 0.0596
O 0.7195 0.9894 0.8355
O 0.8211 0.0596 0.0596
O 0.9894 0.7195 0.4556
O 0.4556 0.8355 0.9894
O 0.8355 0.9894 0.4556
O 0.7944 0.5305 0.4145
O 0.5305 0.7944 0.2606
O 0.9894 0.8355 0.7195
O 0.7195 0.8355 0.4556
O 0.7944 0.2606 0.5305
O 0.4145 0.5305 0.2606
O 0.9894 0.4556 0.8355
O 0.8355 0.4556 0.7195
O 0.4145 0.7944 0.5305
O 0.8355 0.7195 0.9894
O 0.2606 0.7944 0.4145
O 0.4556 0.9894 0.7195
O 0.5305 0.4145 0.7944
O 0.2606 0.4145 0.5305
O 0.7195 0.4556 0.9894
O 0.4556 0.7195 0.8355
O 0.4145 0.2606 0.7944
O 0.7944 0.4145 0.2606
O 0.2606 0.5305 0.7944
O 0.4289 0.1904 0.1904
O 0.5305 0.2606 0.4145
O 0.1904 0.4289 0.1904
O 0.1904 0.1904 0.1904
O 0.1904 0.1904 0.4289



3.
MgSi after structural relaxation, computed with PBE.

Computed properties:
The value obtained for the total moment is 0.0 μB per cell. Its space group is No. 1. As for the corrected total energy (MP2020 scheme): -3.43 eV/atom.

Cell lengths 4.3904, 5.4018, 10.2153 Å; angles 92.37, 91.03, 111.83 degrees
Fractional positions:
Mg 0.3157 0.7414 0.9052
Mg 0.5769 0.2644 0.0941
Mg 0.9228 0.0832 0.3432
Mg 0.8455 0.9170 0.6557
Mg 0.2562 0.6551 0.2057
Mg 0.6342 0.3505 0.7940
Si 0.2014 0.5122 0.6480
Si 0.2254 0.7639 0.4624
Si 0.0416 0.1513 0.9126
Si 0.8431 0.8477 0.0869
Si 0.6719 0.4897 0.3553
Si 0.4652 0.2236 0.5368



4.
NdNi after structural relaxation, computed with PBE.

Computed properties:
Its space group is No. 63.

Cell lengths 3.8078, 4.3052, 5.6300 Å; angles 90.00, 109.77, 90.00 degrees
Fractional positions:
Nd 0.8622 0.2500 0.7244
Nd 0.1378 0.7500 0.2756
Ni 0.5734 0.2500 0.1468
Ni 0.4266 0.7500 0.8532



5.
Ba2PdF6 after structural relaxation, computed with PBE.

Computed properties:
Its space group is No. 64. As for the corrected total energy (MP2020 scheme): -5.57 eV/atom.

Cell lengths 9.2208, 9.2208, 6.2964 Å; angles 90.00, 90.00, 140.04 degrees
Fractional positions:
Ba 0.3395 0.6605 0.5000
Ba 0.1605 0.8395 0.0000
Ba 0.6605 0.3395 0.5000
Ba 0.8395 0.1605 0.0000
Pd 0.0000 0.0000 0.5000
Pd 0.5000 0.5000 0.0000
F 0.4257 0.2600 0.8422
F 0.0743 0.2400 0.3422
F 0.7600 0.9257 0.6577
F 0.7400 0.5743 0.1578
F 0.5743 0.7400 0.1578
F 0.9257 0.7600 0.6577
F 0.4931 0.9931 0.7500
F 0.0069 0.5069 0.2500
F 0.5069 0.0069 0.2500
F 0.9931 0.4931 0.7500
F 0.2600 0.4257 0.8422
F 0.2400 0.0743 0.3422



6.
SrLa7Cu4Sn4O24 after structural relaxation, computed with PBE.

Computed properties:
The value obtained for the total moment is 1.0 μB per cell. Its space group is No. 6. As for the corrected total energy (MP2020 scheme): -7.39 eV/atom.

Cell lengths 7.8966, 7.9020, 8.5173 Å; angles 88.72, 90.00, 90.00 degrees
Fractional positions:
Sr 0.5000 0.7242 0.7666
La 0.5000 0.7181 0.2063
La 0.5000 0.2338 0.1971
La 0.5000 0.2118 0.7563
La 0.0000 0.7866 0.2448
La 0.0000 0.7691 0.8019
La 0.0000 0.2821 0.7875
La 0.0000 0.2763 0.2333
Cu 0.2502 0.9999 0.9983
Cu 0.2509 0.5004 0.9984
Cu 0.7498 0.9999 0.9983
Cu 0.7491 0.5004 0.9984
Sn 0.2509 0.5008 0.5008
Sn 0.2502 0.9998 0.5009
Sn 0.7498 0.9998 0.5009
Sn 0.7491 0.5008 0.5008
O 0.2795 0.2496 0.9629
O 0.2952 0.7515 0.4262
O 0.2941 0.9596 0.7376
O 0.2998 0.4447 0.2681
O 0.5000 0.9736 0.0344
O 0.5000 0.4674 0.5813
O 0.5000 0.5190 0.9903
O 0.5000 0.0765 0.4611
O 0.7002 0.4447 0.2681
O 0.7059 0.9596 0.7376
O 0.7048 0.7515 0.4262
O 0.7205 0.2496 0.9629
O 0.7825 0.7504 0.0390
O 0.7986 0.2496 0.5681
O 0.8009 0.0493 0.2652
O 0.8077 0.5507 0.7326
O 0.0000 0.9213 0.5367
O 0.0000 0.5262 0.4155
O 0.0000 0.4717 0.0184
O 0.0000 0.0296 0.9724
O 0.1923 0.5507 0.7326
O 0.1991 0.0493 0.2652
O 0.2014 0.2496 0.5681
O 0.2175 0.7504 0.0390



7.
La4Ti9Si4O30 after structural relaxation, computed with PBE.

Computed properties:
The value obtained for the total moment is 4.0 μB per cell. Its space group is No. 12. As for the corrected total energy (MP2020 scheme): -9.09 eV/atom.

Cell lengths 7.4400, 7.4400, 14.3492 Å; angles 84.96, 84.96, 45.76 degrees
Fractional positions:
La 0.9833 0.9833 0.3086
La 0.7009 0.7009 0.3137
La 0.2991 0.2991 0.6863
La 0.0167 0.0167 0.6914
Ti 0.9002 0.3721 0.8905
Ti 0.1312 0.1312 0.1181
Ti 0.5964 0.5964 0.1179
Ti 0.3721 0.9002 0.8905
Ti 0.4036 0.4036 0.8821
Ti 0.6279 0.0998 0.1095
Ti 0.8688 0.8688 0.8819
Ti 0.5000 0.5000 0.5000
Ti 0.0998 0.6279 0.1095
Si 0.3474 0.3474 0.3222
Si 0.6526 0.6526 0.6778
Si 0.8529 0.8529 0.5345
Si 0.1471 0.1471 0.4655
O 0.7533 0.7533 0.6076
O 0.1664 0.1664 0.5743
O 0.1450 0.6779 0.5667
O 0.7611 0.7611 0.1331
O 0.2467 0.2467 0.3924
O 0.8550 0.3221 0.4333
O 0.7342 0.7342 0.8831
O 0.6461 0.1450 0.7838
O 0.4143 0.8913 0.7392
O 0.3221 0.8550 0.4333
O 0.1087 0.5857 0.2608
O 0.2389 0.2389 0.8669
O 0.9618 0.9618 0.1349
O 0.8736 0.3697 0.0247
O 0.8336 0.8336 0.4257
O 0.5576 0.5576 0.6181
O 0.3697 0.8736 0.0247
O 0.8550 0.3539 0.2162
O 0.5857 0.1087 0.2608
O 0.6779 0.1450 0.5667
O 0.6303 0.1264 0.9753
O 0.1450 0.6461 0.7838
O 0.3539 0.8550 0.2162
O 0.4612 0.4612 0.1192
O 0.2658 0.2658 0.1169
O 0.0382 0.0382 0.8651
O 0.4424 0.4424 0.3819
O 0.5388 0.5388 0.8808
O 0.8913 0.4143 0.7392
O 0.1264 0.6303 0.9753



8.
Cs2Cu5Se4 after structural relaxation, computed with PBE.

Computed properties:
Its space group is No. 63. As for the corrected total energy (MP2020 scheme): -3.93 eV/atom.

Cell lengths 10.0080, 10.0080, 13.2905 Å; angles 90.00, 90.00, 156.86 degrees
Fractional positions:
Cs 0.8581 0.1419 0.2500
Cs 0.1419 0.8581 0.7500
Cs 0.0000 0.0000 0.5000
Cs 0.0000 0.0000 0.0000
Cu 0.2152 0.7848 0.0412
Cu 0.7848 0.2152 0.5412
Cu 0.2152 0.7848 0.4588
Cu 0.7848 0.2152 0.9588
Cu 0.9160 0.0840 0.7500
Cu 0.0840 0.9160 0.2500
Cu 0.3518 0.6482 0.6576
Cu 0.6482 0.3518 0.3424
Cu 0.6482 0.3518 0.1576
Cu 0.3518 0.6482 0.8424
Se 0.6575 0.3425 0.9791
Se 0.6575 0.3425 0.5209
Se 0.3425 0.6575 0.0209
Se 0.3425 0.6575 0.4791
Se 0.7934 0.2066 0.7500
Se 0.2066 0.7934 0.2500
Se 0.4811 0.5189 0.7500
Se 0.5189 0.4811 0.2500



no.,final energy (eV per atom)
1,-5.832
2,-6.224
3,-3.462
4,-5.594
5,-5.263
6,-6.983
7,-8.651
8,-3.763